VASP calculation (PBE-GGA) on CuMo6S8 after structural relaxation.

Computed properties:
Spin magnetization   0.0 μB/f.u.
Energy of formation from the pure elements   -894 meV per atom

abc: 6.473 6.488 12.998
angles: 94.04 94.66 93.65
Space group P1 (No. 1)
Inequivalent atoms, fractional coordinates:
Cu: 0.000 0.000 0.000 (multiplicity 1)
Cu: 0.142 0.832 0.514 (multiplicity 1)
Mo: 0.252 0.445 0.235 (multiplicity 1)
Mo: 0.257 0.438 0.735 (multiplicity 1)
Mo: 0.442 0.113 0.305 (multiplicity 1)
Mo: 0.447 0.108 0.805 (multiplicity 1)
Mo: 0.495 0.492 0.926 (multiplicity 1)
Mo: 0.495 0.493 0.426 (multiplicity 1)
Mo: 0.582 0.302 0.140 (multiplicity 1)
Mo: 0.585 0.302 0.639 (multiplicity 1)
Mo: 0.631 0.685 0.759 (multiplicity 1)
Mo: 0.636 0.683 0.261 (multiplicity 1)
Mo: 0.821 0.354 0.829 (multiplicity 1)
Mo: 0.825 0.350 0.330 (multiplicity 1)
S: 0.176 0.269 0.896 (multiplicity 1)
S: 0.176 0.278 0.394 (multiplicity 1)
S: 0.241 0.110 0.133 (multiplicity 1)
S: 0.252 0.097 0.634 (multiplicity 1)
S: 0.310 0.767 0.344 (multiplicity 1)
S: 0.314 0.758 0.843 (multiplicity 1)
S: 0.411 0.623 0.599 (multiplicity 1)
S: 0.418 0.623 0.101 (multiplicity 1)
S: 0.661 0.173 0.464 (multiplicity 1)
S: 0.663 0.168 0.967 (multiplicity 1)
S: 0.762 0.030 0.223 (multiplicity 1)
S: 0.765 0.034 0.722 (multiplicity 1)
S: 0.831 0.697 0.927 (multiplicity 1)
S: 0.839 0.687 0.430 (multiplicity 1)
S: 0.902 0.517 0.171 (multiplicity 1)
S: 0.903 0.520 0.671 (multiplicity 1)